This record from the Materials Project database describes a relaxed structure of Na9Mg5TaP6S3O36. The functional is PBE.

a = 8.9738 Å, b = 8.9738 Å, c = 22.1989 Å
α = 90.20°, β = 89.80°, γ = 120.24°
Last column: nearest neighbours and their distance in Å.
Fractional positions:
O  0.4502  0.1371  0.5259  1 S 1.49
O  0.0224  0.8283  0.4110  1 P 1.53
O  0.4731  0.3520  0.1374  1 S 1.46
O  0.3149  0.8353  0.2592  1 P 1.60
O  0.6480  0.5269  0.6374  1 S 1.46
Na  0.3301  0.2944  0.9119  5 O 2.44-2.55
O  0.4547  0.3114  0.0284  1 S 1.49
O  0.1487  0.4522  0.9764  1 P 1.53
S  0.6657  0.6278  0.5835  4 O 1.46-1.51
O  0.9737  0.1749  0.5885  1 S 1.49
O  0.8254  0.8045  0.5865  1 S 1.51
O  0.2201  0.1951  0.8103  1 P 1.53
O  0.7751  0.9570  0.6937  1 P 1.55
O  0.9855  0.8054  0.0875  1 S 1.49
O  0.4826  0.1276  0.6342  1 S 1.46
O  0.8071  0.9797  0.4112  1 P 1.54
S  0.3722  0.3343  0.0835  4 O 1.46-1.51
Ta  0.3291  0.6667  0.8127  6 O 1.97-2.03
O  0.0344  0.8113  0.6918  1 P 1.53
O  0.8633  0.3615  0.9204  1 P 1.55
P  0.2969  0.2943  0.7520  4 O 1.51-1.63
O  0.1717  0.9776  0.9110  1 P 1.53
O  0.1417  0.4969  0.8651  1 P 1.59
O  0.6886  0.5453  0.5284  1 S 1.49
P  0.7057  0.7031  0.2520  4 O 1.51-1.63
O  0.3478  0.4867  0.0791  1 S 1.49
O  0.6378  0.5018  0.9198  1 P 1.55
P  0.6274  0.6688  0.9172  4 O 1.52-1.59
O  0.8387  0.5244  0.7432  1 P 1.53
P  0.0410  0.6689  0.4198  4 O 1.53-1.59
P  0.0405  0.3720  0.9198  4 O 1.53-1.59
Mg  0.6747  0.3363  0.1893  6 O 2.02-2.21
O  0.5478  0.8513  0.4764  1 P 1.53
O  0.1647  0.6851  0.7592  1 P 1.60
O  0.0430  0.2249  0.1937  1 P 1.55
Na  0.7056  0.6699  0.4119  5 O 2.44-2.55
Mg  0.6637  0.3253  0.6893  6 O 2.02-2.21
O  0.2129  0.0278  0.3059  1 P 1.53
S  0.9596  0.3328  0.5827  4 O 1.47-1.50
O  0.8464  0.3228  0.2440  1 P 1.50
O  0.6385  0.1367  0.4204  1 P 1.55
O  0.5193  0.8293  0.7594  1 P 1.63
P  0.3311  0.9590  0.9198  4 O 1.53-1.59
Na  0.3214  0.6531  0.6660  6 O 2.51-2.67
O  0.3168  0.4845  0.7599  1 P 1.63
P  0.9966  0.2936  0.2505  4 O 1.50-1.63
O  0.5081  0.8667  0.0782  1 S 1.50
O  0.8724  0.5174  0.1342  1 S 1.46
O  0.1414  0.6443  0.3649  1 P 1.59
O  0.6420  0.1270  0.1347  1 S 1.47
O  0.1707  0.4807  0.2594  1 P 1.63
S  0.6672  0.0404  0.0827  4 O 1.47-1.50
Mg  0.9911  0.9915  0.1582  3 O 1.95-2.06
O  0.9722  0.7871  0.8059  1 P 1.53
Na  0.3302  0.0367  0.4132  6 O 2.43-2.69
O  0.5425  0.7003  0.9711  1 P 1.52
O  0.1887  0.9656  0.1918  1 P 1.53
P  0.7064  0.0034  0.7505  4 O 1.50-1.63
O  0.6772  0.1536  0.7440  1 P 1.50
Mg  0.3318  0.6609  0.5139  3 O 1.94-2.01
O  0.1850  0.2203  0.6966  1 P 1.51
O  0.6926  0.1429  0.0266  1 S 1.50
O  0.8571  0.3074  0.5266  1 S 1.50
O  0.5031  0.8583  0.3651  1 P 1.59
O  0.4756  0.1613  0.2432  1 P 1.53
O  0.6645  0.5157  0.2449  1 P 1.54
Mg  0.6673  0.3361  0.9800  6 O 2.10-2.13
O  0.5133  0.6522  0.5791  1 S 1.49
P  0.6280  0.9595  0.4198  4 O 1.53-1.59
O  0.8085  0.0200  0.8077  1 P 1.53
Na  0.3618  0.3515  0.2488  4 O 2.35-2.59
P  0.9982  0.7043  0.7493  4 O 1.53-1.60
Mg  0.6639  0.3327  0.4800  6 O 2.10-2.13
Na  0.0116  0.0128  0.4973  6 O 2.46-2.66
O  0.8730  0.3580  0.6347  1 S 1.47
S  0.3718  0.0403  0.5826  4 O 1.46-1.52
P  0.3312  0.3726  0.4172  4 O 1.52-1.59
O  0.8049  0.7799  0.3103  1 P 1.53
Na  0.9872  0.9884  0.9973  6 O 2.46-2.66
Mg  0.9977  0.9980  0.3468  6 O 2.02-2.18
Na  0.6485  0.6382  0.7488  4 O 2.35-2.59
P  0.2957  0.0018  0.2493  4 O 1.53-1.60
Mg  0.0020  0.0023  0.8468  6 O 2.02-2.18
S  0.9597  0.6282  0.0826  4 O 1.46-1.52
O  0.3569  0.4905  0.3600  1 P 1.59
O  0.1955  0.1746  0.0865  1 S 1.51
O  0.0203  0.1929  0.9112  1 P 1.54
O  0.9800  0.1915  0.3077  1 P 1.53
Na  0.6660  0.9675  0.5855  6 O 2.43-2.64
Mg  0.3391  0.6682  0.0139  3 O 1.94-2.01
O  0.1721  0.1912  0.4101  1 P 1.54
O  0.7797  0.8150  0.1966  1 P 1.51
O  0.8633  0.5013  0.4207  1 P 1.55
O  0.3557  0.8586  0.8649  1 P 1.59
O  0.1496  0.6984  0.4763  1 P 1.53
O  0.2997  0.4575  0.4711  1 P 1.52
O  0.1333  0.4919  0.5782  1 S 1.50
Na  0.7044  0.0334  0.9129  6 O 2.45-2.73
O  0.1946  0.0145  0.5875  1 S 1.49
O  0.4843  0.3355  0.7449  1 P 1.54
Mg  0.0085  0.0089  0.6582  3 O 1.95-2.06
O  0.5095  0.6431  0.8600  1 P 1.59
O  0.3543  0.8634  0.5795  1 S 1.52
O  0.4987  0.1367  0.9207  1 P 1.55
Na  0.2996  0.9681  0.0860  6 O 2.44-2.65
Na  0.6661  0.3226  0.8267  5 O 2.41-2.64
O  0.8088  0.8279  0.9101  1 P 1.54
Na  0.6774  0.3339  0.3267  5 O 2.41-2.64
Na  0.9633  0.6698  0.9132  6 O 2.43-2.69
O  0.5155  0.6832  0.2599  1 P 1.63
O  0.4982  0.3622  0.4198  1 P 1.55
O  0.1366  0.6457  0.0795  1 S 1.52
O  0.3016  0.8504  0.9763  1 P 1.53
Na  0.0325  0.3340  0.0855  6 O 2.43-2.64
Na  0.9666  0.2956  0.4129  6 O 2.45-2.73
O  0.8629  0.5498  0.0259  1 S 1.49
O  0.8251  0.0263  0.0885  1 S 1.49
Ta  0.3333  0.6709  0.3127  6 O 1.97-2.03
Na  0.0319  0.7004  0.5860  6 O 2.44-2.65
Na  0.3469  0.6786  0.1660  6 O 2.51-2.67

Summary:
* final energy: -780.4 eV for the cell shown
* total moment: 0.00 μB per atom
* symmetry: Cc (9)

***

This record from the Materials Project database describes a relaxed structure of Na6Mg4Ta2P6S3O36. The functional is PBE.

a = 8.8588 Å, b = 8.8331 Å, c = 22.3974 Å
α = 90.24°, β = 90.00°, γ = 120.10°
Last column: nearest neighbours and their distance in Å.
Fractional positions:
S  0.3808  0.3375  0.0838  4 O 1.45-1.53
O  0.1624  0.6880  0.7583  1 S 1.53
O  0.2043  0.1760  0.0850  1 S 1.50
P  0.0462  0.3721  0.9200  4 O 1.50-1.62
Na  0.9952  0.6395  0.2456  4 O 2.32-2.58
P  0.7091  0.0051  0.7501  4 O 1.50-1.65
O  0.4794  0.1605  0.2437  1 P 1.52
O  0.9767  0.8103  0.0850  1 P 1.53
Na  0.9950  0.9842  0.4907  4 O 2.37-2.59
O  0.6363  0.1221  0.1354  1 S 1.46
O  0.8511  0.3365  0.2458  1 P 1.55
O  0.4682  0.3113  0.0291  1 S 1.53
O  0.8158  0.0175  0.8041  1 P 1.50
O  0.1420  0.4533  0.9777  1 P 1.51
Mg  0.3331  0.6681  0.0143  5 O 1.96-2.16
O  0.2046  0.1783  0.8028  1 P 1.50
Mg  0.6598  0.3270  0.6874  6 O 2.02-2.15
O  0.9737  0.1783  0.3028  1 P 1.50
O  0.0140  0.1903  0.9113  1 P 1.50
O  0.5088  0.6386  0.8610  1 P 1.59
O  0.3613  0.8645  0.8654  1 P 1.59
O  0.8729  0.3565  0.6364  1 S 1.45
S  0.9567  0.3375  0.5838  4 O 1.45-1.53
P  0.2960  0.0051  0.2501  4 O 1.50-1.65
O  0.1406  0.6439  0.0787  1 P 1.56
O  0.8732  0.5148  0.1402  1 P 1.52
O  0.4855  0.3365  0.7458  1 P 1.55
O  0.5091  0.8667  0.0761  1 S 1.48
O  0.1298  0.6386  0.3610  1 P 1.59
O  0.4836  0.3565  0.1364  1 S 1.45
O  0.7666  0.9522  0.6918  1 P 1.56
O  0.1763  0.1903  0.4113  1 P 1.50
O  0.8279  0.0333  0.0863  1 S 1.48
O  0.1363  0.4971  0.8653  1 P 1.58
Ta  0.6742  0.3440  0.9743  6 O 1.93-2.12
O  0.6415  0.5148  0.6402  1 P 1.52
Ta  0.3323  0.6673  0.3157  6 O 1.96-2.08
O  0.5489  0.8597  0.4778  1 P 1.52
Na  0.6443  0.6395  0.7456  4 O 2.32-2.58
O  0.7763  0.8130  0.1962  1 S 1.47
O  0.3145  0.8308  0.2603  1 P 1.65
Na  0.9892  0.9842  0.9907  4 O 2.37-2.59
P  0.6696  0.6282  0.5857  4 O 1.52-1.62
Na  0.6569  0.3098  0.8250  3 O 2.32-2.59
O  0.6832  0.5315  0.2439  1 S 1.48
Mg  0.3350  0.6681  0.5143  5 O 1.96-2.16
Ta  0.3350  0.6673  0.8157  6 O 1.96-2.08
O  0.1856  0.9522  0.1918  1 P 1.56
O  0.8135  0.7884  0.3036  1 S 1.46
O  0.8336  0.8103  0.5850  1 P 1.53
O  0.8620  0.4963  0.4236  1 P 1.62
Mg  0.0064  0.0108  0.3524  6 O 1.99-2.14
Na  0.6678  0.9572  0.5841  6 O 2.40-2.57
P  0.3272  0.9573  0.9205  4 O 1.50-1.60
O  0.6811  0.1605  0.7437  1 P 1.52
Mg  0.9997  0.9944  0.1542  4 O 2.04-2.18
O  0.6838  0.5214  0.5292  1 P 1.62
S  0.7062  0.7085  0.2508  4 O 1.46-1.53
O  0.8377  0.5214  0.0292  1 P 1.62
O  0.5037  0.3630  0.4234  1 P 1.62
P  0.9974  0.2899  0.2494  4 O 1.50-1.65
S  0.0023  0.7085  0.7508  4 O 1.46-1.53
O  0.8431  0.3113  0.5291  1 S 1.53
P  0.9586  0.6282  0.0857  4 O 1.52-1.62
O  0.5163  0.8308  0.7603  1 P 1.65
O  0.1526  0.6921  0.4731  1 P 1.50
S  0.3759  0.0414  0.5829  4 O 1.46-1.53
Mg  0.0044  0.0108  0.8524  6 O 1.99-2.14
O  0.6343  0.4963  0.9236  1 P 1.62
O  0.4858  0.1221  0.6354  1 S 1.46
O  0.8593  0.3630  0.9234  1 P 1.62
O  0.5032  0.6439  0.5787  1 P 1.56
O  0.3113  0.4533  0.4777  1 P 1.51
O  0.8083  0.9833  0.4096  1 P 1.50
O  0.9717  0.1760  0.5850  1 S 1.50
O  0.2018  0.0175  0.3041  1 P 1.50
O  0.3582  0.4917  0.0774  1 S 1.48
Na  0.2894  0.9572  0.0841  6 O 2.40-2.57
O  0.1720  0.4831  0.2595  1 P 1.65
O  0.3607  0.4971  0.3653  1 P 1.58
O  0.0314  0.2246  0.1897  1 P 1.54
S  0.6655  0.0414  0.0829  4 O 1.46-1.53
O  0.5256  0.6880  0.2583  1 S 1.53
O  0.8483  0.5315  0.7439  1 S 1.48
O  0.4664  0.1555  0.5287  1 S 1.53
P  0.3260  0.3721  0.4200  4 O 1.50-1.62
Mg  0.9947  0.9944  0.6542  4 O 2.04-2.18
Na  0.0360  0.3397  0.0863  6 O 2.37-2.62
Na  0.3219  0.6666  0.6655  6 O 2.54-2.65
O  0.9749  0.7884  0.8036  1 S 1.46
Na  0.3037  0.3397  0.5863  6 O 2.37-2.62
Na  0.6529  0.3098  0.3250  3 O 2.32-2.59
O  0.6891  0.1555  0.0287  1 S 1.53
Ta  0.6698  0.3440  0.4743  6 O 1.93-2.12
O  0.1932  0.2246  0.6897  1 P 1.54
O  0.3111  0.4831  0.7595  1 P 1.65
O  0.5040  0.1428  0.9255  1 P 1.60
O  0.2054  0.0333  0.5863  1 S 1.48
P  0.6301  0.9573  0.4205  4 O 1.50-1.60
P  0.6286  0.6761  0.9185  4 O 1.49-1.62
O  0.5395  0.6921  0.9731  1 P 1.50
Mg  0.6672  0.3270  0.1874  6 O 2.02-2.15
P  0.2926  0.2899  0.7494  4 O 1.50-1.65
O  0.1750  0.9833  0.9096  1 P 1.50
O  0.0367  0.8130  0.6962  1 S 1.47
O  0.3108  0.8597  0.9778  1 P 1.52
O  0.0120  0.8225  0.4086  1 P 1.49
O  0.5032  0.8645  0.3654  1 P 1.59
O  0.8105  0.8225  0.9086  1 P 1.49
O  0.6388  0.1428  0.4255  1 P 1.60
O  0.3576  0.8667  0.5761  1 S 1.48
O  0.1334  0.4917  0.5774  1 S 1.48
P  0.0475  0.6761  0.4185  4 O 1.49-1.62
Na  0.3447  0.6666  0.1655  6 O 2.54-2.65

Summary:
* final energy: -779.3 eV for the cell shown
* total moment: 0.00 μB per atom
* symmetry: Cc (9)

***

This record from the Materials Project database describes a relaxed structure of Na15Mg10Ta2P9S9O72. The functional is PBE.

a = 8.9105 Å, b = 8.8970 Å, c = 22.2235 Å
α = 90.00°, β = 90.20°, γ = 119.94°
Last column: nearest neighbours and their distance in Å.
Fractional positions:
O  0.3505  0.8584  0.8650  1 P 1.60
P  0.9927  0.7050  0.7522  4 O 1.51-1.65
O  0.4850  0.1257  0.6340  1 S 1.48
Na  0.3013  0.9683  0.0863  6 O 2.45-2.64
O  0.5210  0.8354  0.7602  1 P 1.60
O  0.3541  0.8631  0.5772  1 S 1.50
S  0.6700  0.0403  0.0839  4 O 1.47-1.52
O  0.8235  0.0155  0.0893  1 S 1.49
O  0.9742  0.7821  0.8110  1 P 1.52
Mg  0.3255  0.6624  0.0162  5 O 1.95-2.15
P  0.3330  0.9632  0.9204  4 O 1.53-1.60
S  0.9586  0.6246  0.0829  4 O 1.46-1.52
Na  0.3013  0.3340  0.5852  6 O 2.43-2.64
P  0.0399  0.3705  0.9173  4 O 1.53-1.61
P  0.7079  0.0012  0.7481  4 O 1.51-1.60
O  0.1387  0.4906  0.8601  1 P 1.61
O  0.5115  0.6461  0.8662  1 S 1.51
Mg  0.0007  0.0030  0.8472  5 O 1.97-2.17
Mg  0.0006  0.0004  0.1562  4 O 2.01-2.22
O  0.1983  0.1769  0.0884  1 S 1.49
O  0.3598  0.4950  0.0778  1 S 1.50
S  0.0414  0.6645  0.4171  4 O 1.47-1.50
O  0.0239  0.8218  0.4111  1 S 1.49
O  0.1894  0.9690  0.1927  1 P 1.54
O  0.6476  0.5169  0.6336  1 S 1.47
O  0.1671  0.9753  0.9121  1 P 1.55
Mg  0.6619  0.3309  0.1882  6 O 2.04-2.14
Na  0.6553  0.3136  0.8278  5 O 2.42-2.64
O  0.8820  0.3523  0.6396  1 S 1.48
O  0.5185  0.6820  0.2594  1 P 1.66
Mg  0.9993  0.9944  0.6567  3 O 1.95-2.05
S  0.3731  0.3340  0.0821  4 O 1.47-1.50
O  0.0294  0.8169  0.6971  1 P 1.51
O  0.1500  0.6912  0.4704  1 S 1.47
O  0.1283  0.6445  0.3624  1 S 1.50
O  0.1810  0.2254  0.6944  1 P 1.55
O  0.5011  0.3647  0.4190  1 P 1.56
O  0.1669  0.6854  0.7590  1 P 1.65
O  0.1393  0.4900  0.5788  1 S 1.50
Na  0.6983  0.6673  0.4127  5 O 2.37-2.57
O  0.8489  0.5153  0.7455  1 P 1.53
O  0.9804  0.1761  0.5861  1 S 1.51
O  0.5464  0.8524  0.4760  1 P 1.54
P  0.2962  0.0036  0.2509  4 O 1.52-1.64
O  0.6813  0.1583  0.7427  1 P 1.53
O  0.1380  0.6507  0.0793  1 S 1.50
O  0.3473  0.4942  0.3651  1 P 1.60
O  0.6858  0.5489  0.5251  1 S 1.48
O  0.3107  0.8288  0.2601  1 P 1.64
Mg  0.6680  0.3309  0.4795  6 O 2.06-2.14
Na  0.9716  0.6713  0.9121  5 O 2.36-2.59
O  0.4806  0.3259  0.7434  1 P 1.52
Mg  0.3324  0.6640  0.5156  6 O 1.99-2.18
O  0.1746  0.1865  0.4108  1 P 1.53
S  0.3709  0.0386  0.5820  4 O 1.48-1.50
O  0.5093  0.6459  0.5797  1 S 1.52
P  0.2981  0.2945  0.7509  4 O 1.52-1.63
Mg  0.0004  0.0063  0.3480  6 O 2.01-2.25
O  0.8516  0.3131  0.5308  1 S 1.47
O  0.8710  0.5198  0.1353  1 S 1.46
O  0.9783  0.1940  0.3046  1 S 1.45
O  0.4933  0.1455  0.9199  1 P 1.54
O  0.5105  0.8606  0.0797  1 S 1.52
P  0.6312  0.9626  0.4198  4 O 1.53-1.62
O  0.6440  0.1234  0.1367  1 S 1.47
O  0.8007  0.8208  0.9120  1 S 1.47
O  0.6378  0.5080  0.9212  1 S 1.49
O  0.8124  0.7921  0.3076  1 P 1.52
O  0.8574  0.5464  0.0266  1 S 1.49
O  0.6357  0.1371  0.4200  1 P 1.53
O  0.5028  0.8569  0.3644  1 P 1.62
Na  0.6646  0.3276  0.3268  5 O 2.41-2.63
Mg  0.6729  0.3216  0.9789  6 O 2.03-2.24
O  0.3078  0.4508  0.4774  1 P 1.53
Na  0.3207  0.6563  0.1659  6 O 2.50-2.65
Na  0.9953  0.0221  0.9968  5 O 2.41-2.61
O  0.8671  0.5101  0.4207  1 S 1.48
P  0.7125  0.7031  0.2507  4 O 1.52-1.66
O  0.1615  0.4760  0.2583  1 S 1.55
S  0.6270  0.6702  0.9194  4 O 1.47-1.51
O  0.1983  0.0250  0.5885  1 S 1.49
Na  0.9902  0.3473  0.7486  5 O 2.39-2.62
Na  0.6690  0.9696  0.5868  6 O 2.45-2.68
O  0.2093  0.0212  0.3073  1 P 1.52
O  0.2135  0.1919  0.8078  1 P 1.52
O  0.4821  0.1525  0.2454  1 P 1.52
O  0.6888  0.1390  0.0285  1 S 1.47
Mg  0.6629  0.3354  0.6884  6 O 2.00-2.18
O  0.0348  0.2232  0.1962  1 S 1.48
O  0.8525  0.3242  0.2435  1 S 1.46
O  0.1594  0.4582  0.9710  1 P 1.53
O  0.0206  0.1913  0.9089  1 P 1.53
S  0.9989  0.2949  0.2507  4 O 1.45-1.55
Na  0.3350  0.0414  0.4101  5 O 2.36-2.51
O  0.6808  0.5195  0.2450  1 P 1.52
Na  0.3265  0.2924  0.9126  5 O 2.41-2.52
P  0.3286  0.3693  0.4197  4 O 1.53-1.60
O  0.8055  0.9726  0.4100  1 P 1.53
O  0.8256  0.0284  0.8013  1 P 1.51
Ta  0.3432  0.6703  0.3118  6 O 1.91-2.14
O  0.7808  0.8117  0.1931  1 P 1.54
O  0.8228  0.8062  0.5867  1 S 1.49
O  0.4850  0.3583  0.1343  1 S 1.47
O  0.7720  0.9634  0.6889  1 P 1.54
S  0.6706  0.6286  0.5817  4 O 1.47-1.52
Na  0.9994  0.0087  0.4964  6 O 2.47-2.66
O  0.4489  0.1414  0.5261  1 S 1.50
O  0.8672  0.3707  0.9193  1 P 1.54
O  0.5482  0.6911  0.9745  1 S 1.47
Ta  0.3325  0.6745  0.8120  6 O 1.92-2.11
O  0.9771  0.8031  0.0870  1 S 1.52
O  0.3149  0.4841  0.7601  1 P 1.63
S  0.9615  0.3357  0.5836  4 O 1.47-1.51
Na  0.3329  0.6790  0.6654  6 O 2.50-2.68
Na  0.6693  0.6989  0.0898  5 O 2.42-2.50
O  0.4512  0.3087  0.0262  1 S 1.50
O  0.3106  0.8562  0.9769  1 P 1.53

Summary:
* final energy: -755.4 eV for the cell shown
* total moment: 0.00 μB per atom
* symmetry: P1 (1)

***

Q: Number 3 is which compound?
A: Na15Mg10Ta2P9S9O72

***

Q: What is the formula in the second record?
A: Na6Mg4Ta2P6S3O36